Density functional theory data (PBE with a Hubbard U) for a geometry-optimized LiMn2B2O6 structure.

a b c (Å): 5.322 5.793 8.148
angles (deg): 79.13 89.93 89.93
Element x y z (fractional)
Li1 0.000 0.000 0.000
Li2 0.316 0.113 0.514
Mn1 0.363 0.404 0.168
Mn2 0.482 0.253 0.817
Mn3 0.842 0.864 0.694
Mn4 0.954 0.700 0.342
B1 0.337 0.733 0.838
B2 0.482 0.904 0.155
B3 0.838 0.204 0.353
B4 0.980 0.374 0.674
O1 0.084 0.752 0.868
O2 0.225 0.367 0.636
O3 0.330 0.715 0.228
O4 0.345 0.108 0.075
O5 0.463 0.901 0.723
O6 0.470 0.549 0.934
O7 0.581 0.234 0.357
O8 0.734 0.894 0.149
O9 0.829 0.570 0.612
O10 0.855 0.176 0.770
O11 0.957 0.010 0.455
O12 0.995 0.374 0.264

Computed properties:
- E above lowest polymorph (eV/atom) = 0.0041
- E_tot (eV per cell) = -165.06
- SG = P1, No. 1
- energy of formation from the pure elements (eV/atom) = -2.428